This record from the Materials Project describes a relaxed MgTi2Cd2O6 crystal. The functional is GGA-PBE.

Summary:
Corrected total energy (MP2020 scheme) in eV/f.u.: -77.5
E_tot in eV per atom: -6.674
Energy above the most stable polymorph in this dataset in kJ/mol of formula units: 0
ΔH_f (0 K) in eV per atom: -2.601
Space-group type: R-3

Unit cell a=7.473 b=7.473 c=7.473 alpha=40.58 beta=40.58 gamma=40.58
Fractional positions:
Mg 0.000 0.000 0.000
Ti 0.350 0.350 0.350
Ti 0.650 0.650 0.650
Cd 0.197 0.197 0.197
Cd 0.803 0.803 0.803
O 0.042 0.408 0.705
O 0.295 0.958 0.592
O 0.408 0.705 0.042
O 0.592 0.295 0.958
O 0.705 0.042 0.408
O 0.958 0.592 0.295